[1]
Compound: Na4ZrAlSi2PO12
Source: the Materials Project
Functional: PBE
Structure: relaxed

POSCAR file:
```
Na4ZrAlSi2PO12
1.0
-4.921 0.689 -7.526
-0.063 -7.732 4.643
-17.093 7.141 12.108
Na Zr Al Si P O
24 6 6 12 6 72
Direct
0.639 0.004 0.250
0.370 0.367 0.246
0.992 0.626 0.250
0.633 0.630 0.746
0.996 0.361 0.750
0.374 0.008 0.750
0.306 0.337 0.583
0.036 0.701 0.579
0.658 0.959 0.583
0.299 0.964 0.079
0.663 0.694 0.083
0.041 0.342 0.083
0.972 0.671 0.917
0.703 0.034 0.912
0.325 0.292 0.916
0.966 0.297 0.412
0.329 0.028 0.417
0.708 0.675 0.416
0.998 0.993 0.496
0.007 0.002 0.996
0.665 0.327 0.830
0.673 0.335 0.330
0.332 0.660 0.163
0.340 0.668 0.663
0.998 0.000 0.649
0.000 0.002 0.149
0.665 0.333 0.982
0.667 0.335 0.482
0.331 0.667 0.315
0.333 0.669 0.815
0.982 0.987 0.352
0.013 0.018 0.852
0.649 0.321 0.685
0.679 0.351 0.185
0.315 0.654 0.018
0.346 0.685 0.518
0.709 0.702 0.251
0.991 0.288 0.252
0.298 0.291 0.751
0.712 0.009 0.752
0.376 0.035 0.585
0.657 0.621 0.585
0.965 0.624 0.085
0.379 0.343 0.085
0.042 0.368 0.918
0.324 0.954 0.919
0.632 0.958 0.418
0.046 0.676 0.419
0.295 0.008 0.253
0.992 0.705 0.753
0.961 0.341 0.586
0.659 0.039 0.086
0.628 0.674 0.919
0.326 0.372 0.419
0.205 0.033 0.307
0.833 0.795 0.309
0.967 0.163 0.310
0.205 0.167 0.809
0.967 0.795 0.807
0.837 0.033 0.810
0.788 0.966 0.692
0.178 0.211 0.691
0.029 0.817 0.695
0.789 0.822 0.191
0.034 0.212 0.192
0.183 0.971 0.195
0.872 0.366 0.641
0.500 0.128 0.642
0.634 0.497 0.643
0.872 0.500 0.142
0.634 0.128 0.141
0.503 0.366 0.143
0.455 0.299 0.025
0.845 0.545 0.025
0.695 0.150 0.028
0.455 0.155 0.525
0.701 0.545 0.525
0.850 0.305 0.528
0.539 0.700 0.974
0.166 0.462 0.976
0.300 0.830 0.977
0.538 0.834 0.476
0.300 0.461 0.474
0.170 0.700 0.477
0.121 0.633 0.358
0.512 0.878 0.358
0.362 0.483 0.362
0.122 0.488 0.858
0.367 0.879 0.858
0.517 0.638 0.862
0.032 0.850 0.410
0.821 0.976 0.411
0.169 0.194 0.412
0.024 0.179 0.911
0.150 0.968 0.910
0.806 0.831 0.912
0.979 0.178 0.589
0.185 0.016 0.588
0.826 0.812 0.588
0.984 0.815 0.088
0.822 0.021 0.089
0.188 0.174 0.088
0.699 0.184 0.743
0.488 0.309 0.744
0.835 0.528 0.745
0.691 0.512 0.244
0.816 0.301 0.243
0.472 0.165 0.245
0.646 0.511 0.922
0.852 0.349 0.921
0.493 0.146 0.922
0.651 0.148 0.421
0.489 0.354 0.422
0.854 0.507 0.422
0.366 0.517 0.077
0.154 0.643 0.078
0.502 0.861 0.079
0.357 0.846 0.578
0.483 0.634 0.577
0.139 0.498 0.579
0.313 0.845 0.256
0.518 0.682 0.255
0.160 0.479 0.255
0.318 0.482 0.755
0.155 0.687 0.756
0.521 0.840 0.755
```

M_tot = 0.0 μB per cell

=====

[2]
Compound: Na5Zr2Al2SiP5O24
Source: the Materials Project
Functional: PBE
Structure: relaxed

POSCAR file:
```
Na5Zr2Al2SiP5O24
1.0
8.829 0.000 0.000
-4.394 7.673 0.000
-0.005 -0.038 22.268
Na Zr Al Si P O
15 6 6 3 15 72
Direct
0.000 0.000 0.000
0.000 0.362 0.246
0.036 0.335 0.582
0.304 0.969 0.585
0.334 0.676 0.160
0.337 0.029 0.914
0.338 0.658 0.663
0.637 0.002 0.747
0.645 0.634 0.247
0.658 0.318 0.330
0.670 0.340 0.826
0.702 0.672 0.916
0.971 0.297 0.915
0.971 0.663 0.415
0.993 0.001 0.502
0.004 0.006 0.353
0.006 0.996 0.143
0.332 0.669 0.314
0.334 0.665 0.809
0.670 0.330 0.984
0.670 0.331 0.483
0.000 0.996 0.650
0.343 0.662 0.519
0.345 0.672 0.021
0.669 0.342 0.685
0.670 0.333 0.182
0.997 0.997 0.848
0.052 0.377 0.422
0.631 0.951 0.916
0.994 0.694 0.248
0.053 0.675 0.918
0.289 0.012 0.748
0.307 0.290 0.247
0.328 0.375 0.917
0.338 0.953 0.422
0.376 0.335 0.588
0.386 0.035 0.084
0.622 0.668 0.419
0.656 0.620 0.084
0.669 0.034 0.588
0.708 0.008 0.246
0.728 0.710 0.748
0.963 0.631 0.587
0.974 0.348 0.084
0.995 0.279 0.746
0.020 0.191 0.691
0.028 0.826 0.194
0.029 0.184 0.416
0.035 0.839 0.908
0.127 0.631 0.861
0.128 0.487 0.359
0.148 0.649 0.581
0.152 0.513 0.075
0.158 0.462 0.751
0.165 0.668 0.250
0.167 0.478 0.480
0.167 0.961 0.416
0.168 0.189 0.908
0.169 0.702 0.972
0.178 0.984 0.692
0.180 0.212 0.194
0.190 0.170 0.594
0.202 0.028 0.806
0.204 0.020 0.087
0.220 0.181 0.304
0.295 0.460 0.972
0.314 0.840 0.477
0.314 0.847 0.751
0.330 0.476 0.254
0.355 0.498 0.579
0.364 0.874 0.364
0.366 0.490 0.861
0.368 0.854 0.076
0.452 0.294 0.531
0.459 0.140 0.024
0.478 0.171 0.742
0.487 0.309 0.238
0.490 0.634 0.077
0.494 0.355 0.922
0.495 0.138 0.425
0.497 0.360 0.641
0.502 0.855 0.577
0.504 0.137 0.137
0.510 0.875 0.856
0.527 0.645 0.359
0.529 0.691 0.473
0.532 0.840 0.253
0.533 0.822 0.972
0.542 0.695 0.752
0.633 0.122 0.642
0.640 0.508 0.139
0.646 0.506 0.424
0.656 0.149 0.920
0.688 0.543 0.026
0.691 0.171 0.238
0.704 0.526 0.740
0.709 0.155 0.532
0.796 0.974 0.193
0.809 0.828 0.416
0.814 0.834 0.695
0.819 0.804 0.087
0.821 0.504 0.239
0.825 0.043 0.303
0.827 0.975 0.906
0.828 0.297 0.740
0.829 0.792 0.807
0.837 0.020 0.595
0.858 0.556 0.528
0.859 0.363 0.424
0.862 0.315 0.026
0.865 0.515 0.922
0.867 0.498 0.638
0.876 0.364 0.139
0.960 0.778 0.309
0.968 0.169 0.804
0.989 0.816 0.595
0.991 0.183 0.088
```

M_tot = 0.0 μB per cell

=====

[3]
Compound: Na7Zr2Al2Si3P3O24
Source: the Materials Project
Functional: PBE
Structure: relaxed

POSCAR file:
```
Na7Zr2Al2Si3P3O24
1.0
8.954 0.000 0.000
4.462 7.811 0.000
0.157 -0.066 22.215
Na Zr Al Si P O
21 6 6 9 9 72
Direct
0.000 0.000 0.000
0.000 0.269 0.503
0.005 0.632 0.250
0.018 0.623 0.752
0.039 0.293 0.832
0.301 0.670 0.831
0.309 0.298 0.332
0.334 0.960 0.419
0.337 0.966 0.917
0.338 0.599 0.167
0.371 0.633 0.501
0.374 0.261 0.002
0.634 0.638 0.000
0.636 0.995 0.498
0.661 0.306 0.582
0.667 0.666 0.335
0.673 0.931 0.834
0.676 0.299 0.082
0.697 0.968 0.167
0.701 0.599 0.665
0.976 0.967 0.668
0.009 0.622 0.606
0.335 0.967 0.272
0.669 0.296 0.730
0.672 0.299 0.228
0.998 0.644 0.399
0.999 0.630 0.100
0.321 0.970 0.767
0.340 0.959 0.568
0.350 0.964 0.066
0.666 0.306 0.434
0.676 0.290 0.933
0.997 0.641 0.900
0.062 0.243 0.668
0.333 0.256 0.164
0.337 0.686 0.668
0.382 0.587 0.337
0.623 0.678 0.163
0.672 0.014 0.337
0.694 0.633 0.502
0.704 0.933 0.997
0.969 0.000 0.837
0.000 0.339 0.994
0.002 0.938 0.503
0.055 0.967 0.160
0.300 0.631 0.995
0.307 0.328 0.499
0.374 0.301 0.839
0.609 0.968 0.668
0.674 0.590 0.837
0.955 0.297 0.339
0.023 0.443 0.665
0.034 0.429 0.941
0.036 0.804 0.158
0.040 0.813 0.449
0.137 0.141 0.335
0.146 0.984 0.103
0.149 0.130 0.607
0.159 0.159 0.002
0.159 0.674 0.664
0.160 0.940 0.218
0.161 0.983 0.829
0.165 0.955 0.507
0.166 0.162 0.729
0.175 0.454 0.161
0.177 0.657 0.942
0.191 0.409 0.444
0.191 0.461 0.845
0.196 0.595 0.340
0.217 0.454 0.553
0.226 0.592 0.053
0.307 0.178 0.227
0.311 0.797 0.002
0.312 0.797 0.729
0.322 0.151 0.509
0.358 0.135 0.106
0.363 0.135 0.831
0.364 0.776 0.334
0.366 0.769 0.607
0.453 0.340 0.782
0.465 0.477 0.275
0.483 0.471 0.988
0.487 0.311 0.494
0.494 0.273 0.893
0.495 0.999 0.335
0.502 0.770 0.105
0.503 0.494 0.395
0.507 0.809 0.509
0.509 0.494 0.672
0.510 0.987 0.609
0.512 0.267 0.166
0.512 0.948 0.005
0.515 0.772 0.831
0.527 0.943 0.725
0.542 0.789 0.225
0.639 0.124 0.671
0.640 0.500 0.891
0.642 0.489 0.166
0.650 0.134 0.395
0.682 0.457 0.494
0.683 0.125 0.989
0.698 0.090 0.273
0.705 0.479 0.780
0.784 0.671 0.443
0.794 0.806 0.663
0.802 0.797 0.941
0.811 0.668 0.161
0.825 0.595 0.559
0.827 0.853 0.056
0.832 0.327 0.989
0.833 0.816 0.338
0.839 0.114 0.494
0.841 0.603 0.843
0.845 0.081 0.777
0.848 0.328 0.282
0.865 0.265 0.671
0.867 0.280 0.396
0.871 0.133 0.892
0.872 0.123 0.164
0.966 0.454 0.051
0.968 0.854 0.558
0.977 0.459 0.342
0.990 0.806 0.844
```

M_tot = 0.0 μB per cell

=====

| no. | E_form (meV per atom) | E (MP2020) (eV per atom) |
| --- | --- | --- |
| 1 | -2970 | -7.4088 |
| 2 | -2987 | -7.6652 |
| 3 | -2987 | -7.5018 |